No. 1
Density functional theory data (PBE) for a relaxed structure of UP2H2CO13.

- calculated formation energy (meV/atom) = -1016
- density (kg/m3) = 2823

Cell: 9.8007 9.5739 13.1473 Å, 90.00 95.43 90.00°
Space group P2_1/m (No. 11)
One atom of each set of equivalent atoms:
U (0.0133, 0.2500, 0.1136) (multiplicity 2)
U (0.3701, 0.2500, 0.5263) (multiplicity 2)
P (0.1495, 0.0926, 0.8909) (multiplicity 4)
P (0.3043, 0.5907, 0.4099) (multiplicity 4)
H (0.0303, 0.7500, 0.1696) (multiplicity 2)
H (0.1059, 0.2500, 0.7488) (multiplicity 2)
H (0.1350, 0.7500, 0.4600) (multiplicity 2)
H (0.2852, 0.7500, 0.5498) (multiplicity 2)
C (0.0818, 0.2500, 0.8289) (multiplicity 2)
C (0.2474, 0.7500, 0.4680) (multiplicity 2)
O (0.0180, 0.6349, 0.6190) (multiplicity 4)
O (0.0390, 0.2500, 0.4140) (multiplicity 2)
O (0.0710, 0.5307, 0.8382) (multiplicity 4)
O (0.1276, 0.1045, 0.0059) (multiplicity 4)
O (0.1282, 0.7500, 0.9847) (multiplicity 2)
O (0.1454, 0.7500, 0.7410) (multiplicity 2)
O (0.1515, 0.2500, 0.2148) (multiplicity 2)
O (0.2264, 0.5697, 0.3026) (multiplicity 4)
O (0.2644, 0.0343, 0.4749) (multiplicity 4)
O (0.2706, 0.2500, 0.6352) (multiplicity 2)
O (0.3059, 0.0785, 0.8873) (multiplicity 4)
O (0.3616, 0.6343, 0.1531) (multiplicity 4)
O (0.3828, 0.7500, 0.1085) (multiplicity 2)
O (0.4128, 0.6350, 0.7743) (multiplicity 4)
O (0.4526, 0.2500, 0.4095) (multiplicity 2)
O (0.4575, 0.7500, 0.8155) (multiplicity 2)
O (0.4597, 0.6041, 0.4029) (multiplicity 4)


No. 2
Density functional theory data (PBE) for a relaxed structure of ZrMn2.

- calculated formation energy (meV/atom) = -184
- density (kg/m3) = 7684

Cell: 4.9452 4.9452 16.4153 Å, 90.00 90.00 120.00°
Space group P6_3/mmc (No. 194)
One atom of each set of equivalent atoms:
Zr (0.0000, 0.0000, 0.0930) (multiplicity 4)
Zr (0.3333, 0.6667, 0.1567) (multiplicity 4)
Mn (0.0000, 0.5000, 0.0000) (multiplicity 6)
Mn (0.1639, 0.3279, 0.7500) (multiplicity 6)
Mn (0.3333, 0.6667, 0.6251) (multiplicity 4)


No. 3
Density functional theory data (PBE) for a relaxed structure of BaTaO3.

- calculated formation energy (meV/atom) = -3271
- density (kg/m3) = 8629

Cell: 4.1308 4.1308 4.1308 Å, 90.00 90.00 90.00°
Space group Pm-3m (No. 221)
One atom of each set of equivalent atoms:
Ba (0.0000, 0.0000, 0.0000) (multiplicity 1)
Ta (0.5000, 0.5000, 0.5000) (multiplicity 1)
O (0.0000, 0.5000, 0.5000) (multiplicity 3)


What did the second record say?
Density functional theory data (PBE) for a relaxed structure of ZrMn2.

- calculated formation energy (meV/atom) = -184
- density (kg/m3) = 7684

Cell: 4.9452 4.9452 16.4153 Å, 90.00 90.00 120.00°
Space group P6_3/mmc (No. 194)
One atom of each set of equivalent atoms:
Zr (0.0000, 0.0000, 0.0930) (multiplicity 4)
Zr (0.3333, 0.6667, 0.1567) (multiplicity 4)
Mn (0.0000, 0.5000, 0.0000) (multiplicity 6)
Mn (0.1639, 0.3279, 0.7500) (multiplicity 6)
Mn (0.3333, 0.6667, 0.6251) (multiplicity 4)


Please write out number 3 again, unchanged.
Density functional theory data (PBE) for a relaxed structure of BaTaO3.

- calculated formation energy (meV/atom) = -3271
- density (kg/m3) = 8629

Cell: 4.1308 4.1308 4.1308 Å, 90.00 90.00 90.00°
Space group Pm-3m (No. 221)
One atom of each set of equivalent atoms:
Ba (0.0000, 0.0000, 0.0000) (multiplicity 1)
Ta (0.5000, 0.5000, 0.5000) (multiplicity 1)
O (0.0000, 0.5000, 0.5000) (multiplicity 3)